1.
Here is crystalline Tb2MgNi2 at its relaxed geometry from the Materials Project. Energies are from GGA-PBE.

## Properties
E_form = -8.5 kcal/mol of atoms

Lattice parameters (Å, degrees): 7.285 7.285 3.765 90.00 90.00 90.00
Fractional positions:
1 Tb 0.174 0.326 0.000
2 Tb 0.326 0.826 0.000
3 Tb 0.674 0.174 0.000
4 Tb 0.826 0.674 0.000
5 Mg 0.000 0.000 0.500
6 Mg 0.500 0.500 0.500
7 Ni 0.119 0.619 0.500
8 Ni 0.381 0.119 0.500
9 Ni 0.619 0.881 0.500
10 Ni 0.881 0.381 0.500


2.
Here is crystalline YMg6W at its relaxed geometry from the Materials Project. Energies are from GGA-PBE.

## Properties
distance to the lowest polymorph of the same formula = 0.0 meV/atom
E_form = 6.4 kcal/mol of atoms

Lattice parameters (Å, degrees): 5.025 6.248 11.265 90.00 90.00 90.00
Fractional positions:
1 Y 0.000 0.500 0.310
2 Y 0.000 0.000 0.810
3 Mg 0.000 0.262 0.075
4 Mg 0.000 0.738 0.075
5 Mg 0.000 0.000 0.329
6 Mg 0.500 0.752 0.427
7 Mg 0.500 0.248 0.427
8 Mg 0.500 0.000 0.172
9 Mg 0.000 0.762 0.575
10 Mg 0.000 0.238 0.575
11 Mg 0.000 0.500 0.829
12 Mg 0.500 0.252 0.927
13 Mg 0.500 0.748 0.927
14 Mg 0.500 0.500 0.672
15 W 0.500 0.500 0.185
16 W 0.500 0.000 0.685


3.
Here is crystalline Na2Zn3H4Se4O14 at its relaxed geometry from the Materials Project. Energies are from GGA-PBE.

## Properties
E_form = -35.1 kcal/mol of atoms

Lattice parameters (Å, degrees): 8.892 8.892 15.128 106.13 106.13 44.21
Fractional positions:
1 Na 0.031 0.759 0.509
2 Na 0.241 0.969 0.991
3 Na 0.759 0.031 0.009
4 Na 0.969 0.241 0.491
5 Zn 0.177 0.823 0.750
6 Zn 0.327 0.650 0.119
7 Zn 0.350 0.673 0.381
8 Zn 0.650 0.327 0.619
9 Zn 0.673 0.350 0.881
10 Zn 0.823 0.177 0.250
11 H 0.051 0.491 0.618
12 H 0.288 0.295 0.111
13 H 0.295 0.288 0.611
14 H 0.491 0.051 0.118
15 H 0.509 0.949 0.882
16 H 0.705 0.712 0.389
17 H 0.712 0.705 0.889
18 H 0.949 0.509 0.382
19 Se 0.018 0.268 0.779
20 Se 0.222 0.571 0.893
21 Se 0.268 0.018 0.279
22 Se 0.429 0.778 0.607
23 Se 0.571 0.222 0.393
24 Se 0.732 0.982 0.721
25 Se 0.778 0.429 0.107
26 Se 0.982 0.732 0.221
27 O 0.031 0.208 0.333
28 O 0.042 0.844 0.320
29 O 0.144 0.743 0.996
30 O 0.152 0.337 0.592
31 O 0.156 0.958 0.180
32 O 0.208 0.031 0.833
33 O 0.211 0.558 0.164
34 O 0.257 0.856 0.504
35 O 0.324 0.456 0.423
36 O 0.337 0.152 0.092
37 O 0.351 0.622 0.852
38 O 0.378 0.649 0.648
39 O 0.442 0.789 0.336
40 O 0.456 0.324 0.923
41 O 0.544 0.676 0.077
42 O 0.558 0.211 0.664
43 O 0.622 0.351 0.352
44 O 0.649 0.378 0.148
45 O 0.663 0.848 0.908
46 O 0.676 0.544 0.577
47 O 0.743 0.144 0.496
48 O 0.789 0.442 0.836
49 O 0.792 0.969 0.167
50 O 0.844 0.042 0.820
51 O 0.848 0.663 0.408
52 O 0.856 0.257 0.004
53 O 0.958 0.156 0.680
54 O 0.969 0.792 0.667


4.
Here is crystalline Mg4SiN4 at its relaxed geometry from the Materials Project. Energies are from GGA-PBE.

## Properties
E_form = -21.4 kcal/mol of atoms

Lattice parameters (Å, degrees): 5.223 10.275 8.375 90.00 90.00 90.00
Fractional positions:
1 Mg 0.149 0.129 0.108
2 Mg 0.149 0.371 0.392
3 Mg 0.192 0.250 0.750
4 Mg 0.250 0.000 0.446
5 Mg 0.250 0.500 0.054
6 Mg 0.308 0.750 0.750
7 Mg 0.351 0.629 0.392
8 Mg 0.351 0.871 0.108
9 Mg 0.649 0.129 0.892
10 Mg 0.649 0.371 0.608
11 Mg 0.692 0.250 0.250
12 Mg 0.750 0.000 0.554
13 Mg 0.750 0.500 0.946
14 Mg 0.808 0.750 0.250
15 Mg 0.851 0.629 0.608
16 Mg 0.851 0.871 0.892
17 Si 0.250 0.000 0.766
18 Si 0.250 0.500 0.734
19 Si 0.750 0.000 0.234
20 Si 0.750 0.500 0.266
21 N 0.036 0.100 0.873
22 N 0.036 0.400 0.627
23 N 0.054 0.607 0.848
24 N 0.054 0.893 0.652
25 N 0.446 0.107 0.652
26 N 0.446 0.393 0.848
27 N 0.464 0.600 0.627
28 N 0.464 0.900 0.873
29 N 0.536 0.100 0.127
30 N 0.536 0.400 0.373
31 N 0.554 0.607 0.152
32 N 0.554 0.893 0.348
33 N 0.946 0.107 0.348
34 N 0.946 0.393 0.152
35 N 0.964 0.600 0.373
36 N 0.964 0.900 0.127


5.
Here is crystalline TmAu2 at its relaxed geometry from the Materials Project. Energies are from GGA-PBE.

## Properties
E_form = -20.5 kcal/mol of atoms

Lattice parameters (Å, degrees): 5.215 5.215 5.215 138.33 138.33 60.40
Fractional positions:
1 Tm 0.000 0.000 0.000
2 Au 0.336 0.336 0.000
3 Au 0.664 0.664 0.000


6.
Here is crystalline Ca2TiIrO6 at its relaxed geometry from the Materials Project. Energies are from GGA-PBE.

## Properties
E_form = -64.8 kcal/mol of atoms

Lattice parameters (Å, degrees): 5.402 5.578 9.412 90.00 124.91 90.00
Fractional positions:
1 Ca 0.236 0.054 0.250
2 Ca 0.236 0.446 0.750
3 Ca 0.764 0.554 0.250
4 Ca 0.764 0.946 0.750
5 Ti 0.500 0.000 0.000
6 Ti 0.500 0.500 0.500
7 Ir 0.000 0.000 0.500
8 Ir 0.000 0.500 0.000
9 O 0.160 0.203 0.956
10 O 0.160 0.297 0.456
11 O 0.254 0.710 0.954
12 O 0.254 0.790 0.454
13 O 0.339 0.024 0.752
14 O 0.339 0.476 0.252
15 O 0.661 0.524 0.748
16 O 0.661 0.976 0.248
17 O 0.746 0.210 0.546
18 O 0.746 0.290 0.046
19 O 0.840 0.703 0.544
20 O 0.840 0.797 0.044


7.
Here is crystalline Al2O3 at its relaxed geometry from the Materials Project. Energies are from GGA-PBE.

## Properties
E_form = -74.0 kcal/mol of atoms

Lattice parameters (Å, degrees): 10.095 10.345 10.365 87.88 88.44 85.33
Fractional positions:
1 Al 0.000 0.000 0.000
2 Al 0.006 0.882 0.717
3 Al 0.010 0.073 0.496
4 Al 0.065 0.423 0.697
5 Al 0.070 0.320 0.947
6 Al 0.118 0.485 0.198
7 Al 0.171 0.194 0.212
8 Al 0.209 0.852 0.403
9 Al 0.210 0.754 0.110
10 Al 0.242 0.294 0.456
11 Al 0.251 0.567 0.889
12 Al 0.259 0.193 0.696
13 Al 0.288 0.545 0.559
14 Al 0.327 0.844 0.776
15 Al 0.345 0.974 0.063
16 Al 0.371 0.276 0.994
17 Al 0.424 0.481 0.132
18 Al 0.434 0.749 0.489
19 Al 0.454 0.046 0.482
20 Al 0.469 0.139 0.234
21 Al 0.484 0.072 0.786
22 Al 0.493 0.598 0.730
23 Al 0.511 0.700 0.212
24 Al 0.524 0.328 0.620
25 Al 0.537 0.729 0.954
26 Al 0.605 0.511 0.403
27 Al 0.632 0.840 0.693
28 Al 0.660 0.009 0.988
29 Al 0.679 0.886 0.409
30 Al 0.704 0.317 0.822
31 Al 0.754 0.108 0.619
32 Al 0.791 0.812 0.123
33 Al 0.803 0.387 0.559
34 Al 0.809 0.236 0.041
35 Al 0.830 0.506 0.089
36 Al 0.857 0.648 0.607
37 Al 0.874 0.231 0.326
38 Al 0.880 0.543 0.364
39 Al 0.977 0.709 0.903
40 Al 0.986 0.770 0.347
41 O 0.032 0.140 0.301
42 O 0.047 0.905 0.459
43 O 0.094 0.485 0.856
44 O 0.112 0.266 0.776
45 O 0.133 0.807 0.259
46 O 0.137 0.688 0.971
47 O 0.148 0.171 0.542
48 O 0.153 0.448 0.542
49 O 0.166 0.939 0.041
50 O 0.177 0.874 0.708
51 O 0.186 0.346 0.295
52 O 0.203 0.256 0.048
53 O 0.258 0.573 0.156
54 O 0.269 0.694 0.467
55 O 0.305 0.074 0.204
56 O 0.312 0.566 0.723
57 O 0.352 0.323 0.600
58 O 0.359 0.912 0.440
59 O 0.364 0.447 0.965
60 O 0.372 0.202 0.844
61 O 0.377 0.058 0.650
62 O 0.378 0.806 0.136
63 O 0.380 0.700 0.882
64 O 0.393 0.194 0.397
65 O 0.396 0.944 0.889
66 O 0.454 0.302 0.145
67 O 0.460 0.791 0.655
68 O 0.475 0.540 0.291
69 O 0.479 0.569 0.543
70 O 0.502 0.067 0.064
71 O 0.543 0.600 0.071
72 O 0.567 0.755 0.366
73 O 0.574 0.021 0.329
74 O 0.577 0.431 0.748
75 O 0.594 0.182 0.696
76 O 0.620 0.986 0.558
77 O 0.626 0.691 0.804
78 O 0.628 0.830 0.061
79 O 0.634 0.351 0.486
80 O 0.638 0.961 0.818
81 O 0.695 0.178 0.935
82 O 0.743 0.786 0.569
83 O 0.745 0.554 0.495
84 O 0.749 0.536 0.246
85 O 0.770 0.253 0.200
86 O 0.784 0.398 0.959
87 O 0.809 0.264 0.685
88 O 0.818 0.828 0.294
89 O 0.826 0.975 0.069
90 O 0.834 0.130 0.459
91 O 0.856 0.674 0.028
92 O 0.900 0.481 0.666
93 O 0.907 0.372 0.412
94 O 0.916 0.018 0.652
95 O 0.948 0.718 0.733
96 O 0.962 0.655 0.470
97 O 0.965 0.886 0.887
98 O 0.972 0.174 0.988
99 O 0.997 0.605 0.249
100 O 0.998 0.418 0.091


8.
Here is crystalline K3Al2As3O12 at its relaxed geometry from the Materials Project. Energies are from GGA-PBE.

## Properties
E_form = -54.1 kcal/mol of atoms

Lattice parameters (Å, degrees): 9.008 17.742 8.846 90.00 90.00 90.00
Fractional positions:
1 K 0.010 0.098 0.000
2 K 0.049 0.856 0.969
3 K 0.181 0.489 0.277
4 K 0.319 0.989 0.777
5 K 0.451 0.356 0.469
6 K 0.490 0.598 0.500
7 K 0.510 0.402 0.000
8 K 0.549 0.644 0.969
9 K 0.681 0.011 0.277
10 K 0.819 0.511 0.777
11 K 0.951 0.144 0.469
12 K 0.990 0.902 0.500
13 Al 0.132 0.332 0.816
14 Al 0.152 0.660 0.806
15 Al 0.348 0.160 0.306
16 Al 0.368 0.832 0.316
17 Al 0.632 0.168 0.816
18 Al 0.652 0.840 0.806
19 Al 0.848 0.340 0.306
20 Al 0.868 0.668 0.316
21 As 0.157 0.285 0.161
22 As 0.206 0.686 0.172
23 As 0.236 0.997 0.244
24 As 0.264 0.497 0.744
25 As 0.294 0.186 0.672
26 As 0.343 0.785 0.661
27 As 0.657 0.215 0.161
28 As 0.706 0.814 0.172
29 As 0.736 0.503 0.244
30 As 0.764 0.003 0.744
31 As 0.794 0.314 0.672
32 As 0.843 0.715 0.661
33 O 0.018 0.291 0.295
34 O 0.024 0.659 0.197
35 O 0.071 0.290 0.986
36 O 0.074 0.031 0.314
37 O 0.120 0.563 0.781
38 O 0.171 0.126 0.747
39 O 0.208 0.421 0.857
40 O 0.209 0.849 0.692
41 O 0.217 0.192 0.170
42 O 0.222 0.779 0.229
43 O 0.231 0.691 0.979
44 O 0.234 0.974 0.059
45 O 0.266 0.474 0.559
46 O 0.269 0.191 0.479
47 O 0.278 0.279 0.729
48 O 0.283 0.692 0.670
49 O 0.291 0.349 0.192
50 O 0.292 0.921 0.357
51 O 0.329 0.626 0.247
52 O 0.380 0.063 0.281
53 O 0.426 0.531 0.814
54 O 0.429 0.790 0.486
55 O 0.476 0.159 0.697
56 O 0.482 0.791 0.795
57 O 0.518 0.209 0.295
58 O 0.524 0.841 0.197
59 O 0.571 0.210 0.986
60 O 0.574 0.469 0.314
61 O 0.620 0.937 0.781
62 O 0.671 0.374 0.747
63 O 0.708 0.079 0.857
64 O 0.709 0.651 0.692
65 O 0.717 0.308 0.170
66 O 0.722 0.721 0.229
67 O 0.731 0.809 0.979
68 O 0.734 0.526 0.059
69 O 0.766 0.026 0.559
70 O 0.769 0.309 0.479
71 O 0.778 0.221 0.729
72 O 0.783 0.808 0.670
73 O 0.791 0.151 0.192
74 O 0.792 0.579 0.357
75 O 0.829 0.874 0.247
76 O 0.880 0.437 0.281
77 O 0.926 0.969 0.814
78 O 0.929 0.710 0.486
79 O 0.976 0.341 0.697
80 O 0.982 0.709 0.795


9.
Here is crystalline Ti9O8 at its relaxed geometry from the Materials Project. Energies are from GGA-PBE.

## Properties
E_form = -59.8 kcal/mol of atoms

Lattice parameters (Å, degrees): 6.060 6.696 9.062 77.13 89.11 77.06
Fractional positions:
1 Ti 0.049 0.175 0.217
2 Ti 0.103 0.163 0.571
3 Ti 0.103 0.166 0.876
4 Ti 0.238 0.506 0.976
5 Ti 0.252 0.489 0.675
6 Ti 0.259 0.512 0.337
7 Ti 0.404 0.854 0.774
8 Ti 0.440 0.829 0.124
9 Ti 0.446 0.833 0.429
10 Ti 0.554 0.167 0.571
11 Ti 0.560 0.171 0.876
12 Ti 0.596 0.146 0.226
13 Ti 0.741 0.488 0.663
14 Ti 0.748 0.511 0.325
15 Ti 0.762 0.494 0.024
16 Ti 0.897 0.834 0.124
17 Ti 0.897 0.837 0.429
18 Ti 0.951 0.825 0.783
19 O 0.000 0.500 0.500
20 O 0.030 0.500 0.170
21 O 0.168 0.832 0.597
22 O 0.168 0.844 0.277
23 O 0.173 0.834 0.961
24 O 0.323 0.171 0.382
25 O 0.329 0.170 0.060
26 O 0.482 0.493 0.159
27 O 0.500 0.500 0.500
28 O 0.518 0.507 0.841
29 O 0.671 0.830 0.940
30 O 0.677 0.829 0.618
31 O 0.827 0.166 0.039
32 O 0.832 0.156 0.723
33 O 0.832 0.168 0.403
34 O 0.970 0.500 0.830


10.
Here is crystalline LiCuOF at its relaxed geometry from the Materials Project. Energies are from GGA-PBE.

## Properties
E_form = -44.5 kcal/mol of atoms

Lattice parameters (Å, degrees): 2.794 2.794 4.988 90.00 90.00 90.00
Fractional positions:
1 Li 0.000 0.000 0.000
2 Cu 0.500 0.500 0.500
3 O 0.000 0.000 0.500
4 F 0.500 0.500 0.000


Question: What is the formula in the sixth record?
Answer: Ca2TiIrO6


Question: What is the E_form in the second record?
Answer: 6.4 kcal/mol of atoms


Question: E_form of number 5 (TmAu2)?
Answer: -20.5 kcal/mol of atoms


Please write out number 4 again, unchanged.
Here is crystalline Mg4SiN4 at its relaxed geometry from the Materials Project. Energies are from GGA-PBE.

## Properties
E_form = -21.4 kcal/mol of atoms

Lattice parameters (Å, degrees): 5.223 10.275 8.375 90.00 90.00 90.00
Fractional positions:
1 Mg 0.149 0.129 0.108
2 Mg 0.149 0.371 0.392
3 Mg 0.192 0.250 0.750
4 Mg 0.250 0.000 0.446
5 Mg 0.250 0.500 0.054
6 Mg 0.308 0.750 0.750
7 Mg 0.351 0.629 0.392
8 Mg 0.351 0.871 0.108
9 Mg 0.649 0.129 0.892
10 Mg 0.649 0.371 0.608
11 Mg 0.692 0.250 0.250
12 Mg 0.750 0.000 0.554
13 Mg 0.750 0.500 0.946
14 Mg 0.808 0.750 0.250
15 Mg 0.851 0.629 0.608
16 Mg 0.851 0.871 0.892
17 Si 0.250 0.000 0.766
18 Si 0.250 0.500 0.734
19 Si 0.750 0.000 0.234
20 Si 0.750 0.500 0.266
21 N 0.036 0.100 0.873
22 N 0.036 0.400 0.627
23 N 0.054 0.607 0.848
24 N 0.054 0.893 0.652
25 N 0.446 0.107 0.652
26 N 0.446 0.393 0.848
27 N 0.464 0.600 0.627
28 N 0.464 0.900 0.873
29 N 0.536 0.100 0.127
30 N 0.536 0.400 0.373
31 N 0.554 0.607 0.152
32 N 0.554 0.893 0.348
33 N 0.946 0.107 0.348
34 N 0.946 0.393 0.152
35 N 0.964 0.600 0.373
36 N 0.964 0.900 0.127